P.
Density functional theory data (PBE) for an optimized crystal structure of C.

Lattice parameters (Å, degrees): 10.6813 10.7477 10.4272 95.12 86.77 89.89
Positions (direct):
C 0.7022 0.5892 0.0718
C 0.7675 0.9167 0.8982
C 0.5208 0.6077 0.7693
C 0.0197 0.6600 0.2219
C 0.0204 0.5167 0.5439
C 0.1135 0.5332 0.4481
C 0.7820 0.4273 0.3612
C 0.1150 0.0849 0.8519
C 0.3544 0.2738 0.6879
C 0.1326 0.9714 0.8292
C 0.4064 0.5657 0.8500
C 0.0191 0.4159 0.7529
C 0.3639 0.6083 0.0807
C 0.4594 0.0469 0.5058
C 0.7618 0.0398 0.8684
C 0.7205 0.3357 0.2890
C 0.1443 0.7466 0.0481
C 0.2311 0.8039 0.9583
C 0.0901 0.5040 0.6702
C 0.1091 0.9762 0.1095
C 0.2283 0.6821 0.6558
C 0.7765 0.3633 0.7858
C 0.7050 0.2557 0.7932
C 0.4070 0.1920 0.2182
C 0.0233 0.1980 0.6462
C 0.9416 0.7040 0.8742
C 0.8963 0.4988 0.3497
C 0.1928 0.2841 0.9387
C 0.7567 0.8754 0.0196
C 0.5505 0.5191 0.4434
C 0.4508 0.4615 0.3787
C 0.5251 0.6052 0.9223
C 0.2848 0.2924 0.0377
C 0.0631 0.7303 0.8137
C 0.5744 0.5599 0.0453
C 0.9687 0.7781 0.2672
C 0.7372 0.8057 0.1092
C 0.7517 0.1418 0.8266
C 0.4727 0.9837 0.1143
C 0.9623 0.5604 0.2661
C 0.7896 0.0346 0.3729
C 0.6541 0.6824 0.2940
C 0.4670 0.5525 0.1350
C 0.7550 0.8131 0.7949
C 0.5794 0.0172 0.4720
C 0.4018 0.6665 0.9631
C 0.2753 0.3493 0.5186
C 0.9138 0.6519 0.9858
C 0.6360 0.4925 0.5537
C 0.1998 0.5279 0.3656
C 0.1082 0.8694 0.0220
C 0.9395 0.8841 0.3098
C 0.3682 0.3539 0.4162
C 0.0190 0.0805 0.4166
C 0.1098 0.2165 0.8622
C 0.3963 0.2276 0.3585
C 0.2735 0.3879 0.9460
C 0.8201 0.7037 0.8146
C 0.9012 0.5050 0.4965
C 0.2519 0.0489 0.4151
C 0.2836 0.5363 0.2620
C 0.1377 0.6637 0.1387
C 0.7036 0.7013 0.1700
C 0.2659 0.9296 0.4407
C 0.3238 0.4578 0.8498
C 0.2742 0.7491 0.5751
C 0.0118 0.1390 0.5420
C 0.5764 0.2535 0.7703
C 0.5463 0.8547 0.6534
C 0.7706 0.5785 0.8436
C 0.6076 0.1206 0.2706
C 0.5005 0.0876 0.1914
C 0.6597 0.2386 0.2695
C 0.0297 0.2758 0.7658
C 0.5404 0.7352 0.7139
C 0.6447 0.8083 0.7242
C 0.1234 0.6421 0.7273
C 0.2889 0.8286 0.4866
C 0.1343 0.0698 0.3462
C 0.1317 0.0281 0.2154
C 0.2515 0.5992 0.1532
C 0.8017 0.5831 0.9783
C 0.4139 0.5093 0.2580
C 0.3143 0.2315 0.5677
C 0.7639 0.4645 0.4961
C 0.4254 0.8969 0.0429
C 0.6171 0.5175 0.6871
C 0.6045 0.6143 0.3714
C 0.1303 0.8476 0.8730
C 0.5217 0.9501 0.5732
C 0.6665 0.0470 0.3686
C 0.2237 0.4358 0.6302
C 0.9123 0.3630 0.7900
C 0.3584 0.1347 0.4625
C 0.7178 0.4842 0.7687
C 0.3654 0.8042 0.9753
C 0.3431 0.2455 0.1301
C 0.2952 0.3977 0.7250
C 0.4670 0.2435 0.7400
C 0.9106 0.0071 0.3642

Computed properties:
* magnetization: 2.00 Bohr magnetons per cell
* density: 1.68 g cm⁻³

=====

Q.
Density functional theory data (PBE) for an optimized crystal structure of C.

Lattice parameters (Å, degrees): 2.4672 2.4672 3.8300 90.00 90.00 120.00
Positions (direct):
C 0.3333 0.6667 0.0000
C 0.6667 0.3333 0.0000

Computed properties:
* density: 1.98 g cm⁻³

=====

R.
Density functional theory data (PBE) for an optimized crystal structure of C.

Lattice parameters (Å, degrees): 4.2235 4.2235 4.2235 109.47 109.47 109.47
Positions (direct):
C 0.3252 0.0000 0.0000
C 0.6748 0.6748 0.6748
C 0.0000 0.3252 0.0000
C 0.0000 0.0000 0.3252
C 0.0000 0.6748 0.0000
C 0.3252 0.3252 0.3252
C 0.6748 0.0000 0.0000
C 0.0000 0.0000 0.6748

Computed properties:
* magnetization: 0.00 Bohr magnetons per cell
* density: 2.75 g cm⁻³

=====

Stability check: which of them is least stable? P.

=====

P.
Density functional theory data (PBE) for an optimized crystal structure of C.

Lattice parameters (Å, degrees): 2.4687 2.4687 8.1499 90.00 90.00 120.05
Positions (direct):
C 0.5833 0.4167 0.2341
C 0.4167 0.5833 0.7659
C 0.9167 0.0833 0.2341
C 0.0833 0.9167 0.7659

Computed properties:
* magnetization: 0.00 Bohr magnetons per cell
* density: 1.86 g cm⁻³

=====

Q.
Density functional theory data (PBE) for an optimized crystal structure of C.

Lattice parameters (Å, degrees): 2.5270 2.5270 2.5270 60.00 60.00 60.00
Positions (direct):
C 0.2500 0.2500 0.2500
C 0.0000 0.0000 0.0000

Computed properties:
* density: 3.50 g cm⁻³

=====

R.
Density functional theory data (PBE) for an optimized crystal structure of C.

Lattice parameters (Å, degrees): 4.8744 4.8744 2.5147 90.00 90.00 128.24
Positions (direct):
C 0.6482 0.9815 0.0000
C 0.3518 0.0185 0.0000
C 0.0185 0.3518 0.0000
C 0.9815 0.6482 0.0000
C 0.4047 0.2264 0.5000
C 0.5953 0.7736 0.5000
C 0.7736 0.5953 0.5000
C 0.2264 0.4047 0.5000

Computed properties:
* magnetization: 0.00 Bohr magnetons per cell
* density: 3.40 g cm⁻³

=====

S.
Density functional theory data (PBE) for an optimized crystal structure of C.

Lattice parameters (Å, degrees): 19.1412 19.1412 19.1412 7.40 7.40 7.40
Positions (direct):
C 0.0316 0.0316 0.0316
C 0.9054 0.9054 0.9054
C 0.7613 0.7613 0.7613
C 0.0946 0.0946 0.0946
C 0.9684 0.9684 0.9684
C 0.3649 0.3649 0.3649
C 0.2387 0.2387 0.2387
C 0.6351 0.6351 0.6351

Computed properties:
* density: 1.58 g cm⁻³

=====

Stability check: which of them is least stable? R.

=====

P.
Density functional theory data (PBE) for an optimized crystal structure of C.

Lattice parameters (Å, degrees): 2.4678 2.4678 25.8292 90.00 90.00 120.00
Positions (direct):
C 0.0000 0.0000 0.5712
C 0.0000 0.0000 0.4288
C 0.3333 0.6667 0.4288
C 0.6667 0.3333 0.5712

Computed properties:
* density: 0.59 g cm⁻³

=====

Q.
Density functional theory data (PBE) for an optimized crystal structure of C.

Lattice parameters (Å, degrees): 10.6655 10.4914 2.4638 90.00 90.00 120.10
Positions (direct):
C 0.8748 0.6811 0.2500
C 0.7608 0.8702 0.2500
C 0.6280 0.8735 0.2500
C 0.2061 0.5501 0.2500
C 0.1302 0.2530 0.2500
C 0.1886 0.1562 0.2500
C 0.4477 0.1493 0.2500
C 0.6026 0.2389 0.2500
C 0.8357 0.5289 0.2500
C 0.3253 0.6985 0.2500
C 0.3974 0.7611 0.7500
C 0.8698 0.7470 0.7500
C 0.2392 0.1298 0.7500
C 0.3720 0.1265 0.7500
C 0.8114 0.8438 0.7500
C 0.1643 0.4711 0.7500
C 0.6747 0.3015 0.7500
C 0.7939 0.4499 0.7500
C 0.1252 0.3189 0.7500
C 0.5523 0.8507 0.7500

Computed properties:
* magnetization: 0.00 Bohr magnetons per cell
* density: 1.67 g cm⁻³

=====

Stability check: which of them is least stable? Q.

=====

P.
Density functional theory data (PBE) for an optimized crystal structure of C.

Lattice parameters (Å, degrees): 2.4684 2.4684 9.9991 90.00 90.00 120.00
Positions (direct):
C 0.3333 0.6667 0.0000
C 0.6667 0.3333 0.0000

Computed properties:
* density: 0.76 g cm⁻³

=====

Q.
Density functional theory data (PBE) for an optimized crystal structure of C.

Lattice parameters (Å, degrees): 8.4041 8.4041 8.4041 16.88 16.88 16.88
Positions (direct):
C 0.9128 0.9128 0.9128
C 0.2462 0.2462 0.2462
C 0.7538 0.7538 0.7538
C 0.0872 0.0872 0.0872

Computed properties:
* density: 1.83 g cm⁻³

=====

R.
Density functional theory data (PBE) for an optimized crystal structure of C.

Lattice parameters (Å, degrees): 2.5223 2.5223 12.4339 90.00 90.00 120.00
Positions (direct):
C 0.6667 0.3333 0.3549
C 0.3333 0.6667 0.8549
C 0.6667 0.3333 0.0208
C 0.3333 0.6667 0.6451
C 0.3333 0.6667 0.9792
C 0.0000 0.0000 0.6869
C 0.6667 0.3333 0.4792
C 0.3333 0.6667 0.5208
C 0.0000 0.0000 0.3131
C 0.6667 0.3333 0.1451
C 0.0000 0.0000 0.8131
C 0.0000 0.0000 0.1869

Computed properties:
* density: 3.49 g cm⁻³

=====

S.
Density functional theory data (PBE) for an optimized crystal structure of C.

Lattice parameters (Å, degrees): 10.0670 10.0670 18.0000 90.00 90.00 119.72
Positions (direct):
C 0.1791 0.3714 0.4297
C 0.5157 0.6265 0.8174
C 0.0268 0.4810 0.6829
C 0.9558 0.4375 0.2500
C 0.6286 0.8209 0.4297
C 0.1225 0.7398 0.1142
C 0.0450 0.2809 0.3173
C 0.4363 0.5637 0.0132
C 0.0529 0.3588 0.1142
C 0.8775 0.2602 0.6142
C 0.3757 0.7672 0.0305
C 0.5157 0.6265 0.6826
C 0.8209 0.6286 0.9297
C 0.4987 0.7333 0.0279
C 0.9471 0.6412 0.8858
C 0.0166 0.4759 0.1142
C 0.3091 0.4035 0.7500
C 0.6909 0.5965 0.2500
C 0.2328 0.6243 0.0305
C 0.9471 0.6412 0.6142
C 0.4987 0.7333 0.4721
C 0.6265 0.5157 0.3174
C 0.0065 0.6855 0.7500
C 0.8339 0.7553 0.6826
C 0.3735 0.4843 0.8174
C 0.5139 0.4861 0.0611
C 0.3885 0.8921 0.4286
C 0.6997 0.7495 0.1139
C 0.5965 0.6909 0.7500
C 0.9732 0.5190 0.3171
C 0.6115 0.1079 0.9286
C 0.9732 0.5190 0.1829
C 0.7672 0.3757 0.9695
C 0.5013 0.2667 0.5279
C 0.6997 0.7495 0.3861
C 0.3885 0.8921 0.0714
C 0.7614 0.7578 0.7500
C 0.8775 0.2602 0.8858
C 0.6265 0.5157 0.1826
C 0.3606 0.4076 0.6138
C 0.2328 0.6243 0.4695
C 0.4861 0.5139 0.5611
C 0.3588 0.0529 0.8858
C 0.0870 0.7678 0.2500
C 0.0166 0.4759 0.3858
C 0.8339 0.7553 0.8174
C 0.5013 0.2667 0.9721
C 0.5924 0.6394 0.8862
C 0.9550 0.7191 0.6827
C 0.4076 0.3606 0.1138
C 0.3757 0.7672 0.4695
C 0.2322 0.9130 0.2500
C 0.5637 0.4363 0.9868
C 0.4076 0.3606 0.3862
C 0.0529 0.3588 0.3858
C 0.6825 0.0383 0.8172
C 0.4363 0.5637 0.4868
C 0.5637 0.4363 0.5132
C 0.0450 0.2809 0.1827
C 0.7678 0.0870 0.7500
C 0.6243 0.2328 0.5305
C 0.1225 0.7398 0.3858
C 0.6286 0.8209 0.0703
C 0.2809 0.0450 0.6827
C 0.5190 0.9732 0.8171
C 0.6825 0.0383 0.6828
C 0.1791 0.3714 0.0703
C 0.3714 0.1791 0.9297
C 0.2602 0.8775 0.1142
C 0.6394 0.5924 0.3862
C 0.7333 0.4987 0.9721
C 0.4843 0.3735 0.1826
C 0.8921 0.3885 0.5714
C 0.6855 0.0065 0.2500
C 0.9935 0.3145 0.2500
C 0.0383 0.6825 0.3172
C 0.7191 0.9550 0.1827
C 0.9834 0.5241 0.6142
C 0.3175 0.9617 0.1828
C 0.5241 0.9834 0.1142
C 0.4810 0.0268 0.3171
C 0.2505 0.3003 0.3861
C 0.9130 0.2322 0.7500
C 0.3003 0.2505 0.8861
C 0.4759 0.0166 0.8858
C 0.4375 0.9558 0.7500
C 0.7333 0.4987 0.5279
C 0.8921 0.3885 0.9286
C 0.3735 0.4843 0.6826
C 0.1079 0.6115 0.4286
C 0.1661 0.2447 0.1826
C 0.3714 0.1791 0.5703
C 0.7578 0.7614 0.2500
C 0.6412 0.9471 0.1142
C 0.5625 0.0442 0.2500
C 0.2809 0.0450 0.8173
C 0.4861 0.5139 0.9389
C 0.2667 0.5013 0.0279
C 0.1079 0.6115 0.0714
C 0.9617 0.3175 0.6828
C 0.6243 0.2328 0.9695
C 0.5139 0.4861 0.4389
C 0.7495 0.6997 0.6139
C 0.7672 0.3757 0.5305
C 0.3606 0.4076 0.8862
C 0.7398 0.1225 0.6142
C 0.6115 0.1079 0.5714
C 0.7495 0.6997 0.8861
C 0.2667 0.5013 0.4721
C 0.5190 0.9732 0.6829
C 0.2447 0.1661 0.8174
C 0.0442 0.5625 0.7500
C 0.6412 0.9471 0.3858
C 0.2386 0.2422 0.2500
C 0.1661 0.2447 0.3174
C 0.2447 0.1661 0.6826
C 0.7553 0.8339 0.1826
C 0.4759 0.0166 0.6142
C 0.2505 0.3003 0.1139
C 0.7553 0.8339 0.3174
C 0.4810 0.0268 0.1829
C 0.5241 0.9834 0.3858
C 0.3175 0.9617 0.3172
C 0.9834 0.5241 0.8858
C 0.4035 0.3091 0.2500
C 0.3003 0.2505 0.6139
C 0.8209 0.6286 0.5703
C 0.7191 0.9550 0.3173
C 0.0383 0.6825 0.1828
C 0.2422 0.2386 0.7500
C 0.3145 0.9935 0.7500
C 0.9550 0.7191 0.8173
C 0.9617 0.3175 0.8172
C 0.3588 0.0529 0.6142
C 0.5924 0.6394 0.6138
C 0.0268 0.4810 0.8171
C 0.7398 0.1225 0.8858
C 0.4843 0.3735 0.3174
C 0.6394 0.5924 0.1138
C 0.2602 0.8775 0.3858

Computed properties:
* magnetization: 0.00 Bohr magnetons per cell
* density: 1.76 g cm⁻³

=====

Stability check: which of them is least stable? S.